Cs2CrHgF6 GGA+U optimized geometry; symmetry = Fm-3m; E_tot = -4.44 eV per atom
1.0
-1.845 -3.315 5.491
-5.119 -4.277 -0.245
1.111 -6.565 0.466
Cs Cr Hg F
2 1 1 6
direct
0.250 0.250 0.250 Cs
0.750 0.750 0.750 Cs
0.000 0.000 0.000 Cr
0.500 0.500 0.500 Hg
0.198 0.802 0.198 F
0.802 0.802 0.198 F
0.802 0.198 0.802 F
0.802 0.198 0.198 F
0.198 0.802 0.802 F
0.198 0.198 0.802 F

=====

KMnF3 GGA+U optimized geometry; symmetry = P2_1/m; E_tot = -5.61 eV per atom
1.0
8.540 0.000 0.000
0.000 6.012 0.000
0.000 0.003 6.045
K Mn F
4 4 12
direct
0.250 0.996 0.504 K
0.750 0.004 0.496 K
0.250 0.497 0.008 K
0.750 0.503 0.992 K
0.000 0.000 0.000 Mn
0.500 0.000 0.000 Mn
0.000 0.500 0.500 Mn
0.500 0.500 0.500 Mn
0.250 0.003 0.989 F
0.750 0.997 0.011 F
0.250 0.499 0.503 F
0.750 0.501 0.497 F
0.007 0.736 0.236 F
0.993 0.264 0.764 F
0.507 0.264 0.764 F
0.493 0.736 0.236 F
0.003 0.235 0.264 F
0.997 0.765 0.736 F
0.503 0.765 0.736 F
0.497 0.235 0.264 F

=====

MgMn2Fe2O8 GGA+U optimized geometry; symmetry = P2; E_tot = -6.61 eV per atom; E above lowest polymorph = 0.40 eV/f.u.
1.0
-2.702 -3.058 -2.598
1.363 -4.224 3.552
-4.063 0.954 2.696
Mg Mn Fe O
1 2 2 8
direct
0.500 0.098 0.250 Mg
0.000 0.860 0.750 Mn
0.000 0.142 0.250 Mn
0.500 0.385 0.750 Fe
0.500 0.627 0.250 Fe
0.219 0.116 0.565 O
0.223 0.889 0.078 O
0.269 0.631 0.585 O
0.279 0.362 0.091 O
0.731 0.631 0.915 O
0.721 0.362 0.409 O
0.781 0.115 0.935 O
0.777 0.889 0.422 O

=====

NdEuNiSbO6 GGA+U optimized geometry; symmetry = F-43m; E_tot = -7.25 eV per atom
1.0
-3.391 1.250 -4.350
-4.515 -3.229 -1.085
-5.203 2.001 0.954
Nd Eu Ni Sb O
1 1 1 1 6
direct
0.250 0.250 0.250 Nd
0.750 0.750 0.750 Eu
0.000 0.000 0.000 Ni
0.500 0.500 0.500 Sb
0.747 0.253 0.253 O
0.253 0.747 0.747 O
0.747 0.253 0.747 O
0.253 0.747 0.253 O
0.747 0.747 0.253 O
0.253 0.253 0.747 O

=====

Li4Mn3Ni3Sn2O16 GGA+U optimized geometry; symmetry = Cm; E_tot = -5.98 eV per atom
1.0
-3.871 2.609 3.643
-3.758 -3.189 3.281
6.257 -0.337 7.350
Li Mn Ni Sn O
4 3 3 2 16
direct
0.662 0.662 0.109 Li
0.997 0.997 0.007 Li
0.002 0.002 0.504 Li
0.332 0.332 0.609 Li
0.339 0.832 0.785 Mn
0.832 0.339 0.785 Mn
0.170 0.170 0.283 Mn
0.830 0.830 0.785 Ni
0.169 0.662 0.286 Ni
0.662 0.169 0.286 Ni
0.672 0.672 0.507 Sn
0.335 0.335 0.010 Sn
0.326 0.850 0.399 O
0.516 0.516 0.669 O
0.655 0.655 0.890 O
0.010 0.010 0.691 O
0.002 0.002 0.195 O
0.850 0.326 0.399 O
0.504 0.966 0.662 O
0.966 0.504 0.662 O
0.159 0.159 0.895 O
0.848 0.848 0.400 O
0.028 0.472 0.161 O
0.472 0.028 0.161 O
0.331 0.331 0.384 O
0.167 0.683 0.901 O
0.479 0.479 0.168 O
0.683 0.167 0.901 O

=====

BaMo4O15 GGA+U optimized geometry; symmetry = Pbcn; E_tot = -6.79 eV per atom
1.0
-0.239 5.505 5.518
8.198 -9.586 9.920
17.666 7.824 -7.039
Ba Mo O
8 32 120
direct
0.829 0.395 0.054 Ba
0.671 0.895 0.446 Ba
0.671 0.605 0.554 Ba
0.829 0.105 0.946 Ba
0.171 0.605 0.946 Ba
0.329 0.105 0.554 Ba
0.329 0.395 0.446 Ba
0.171 0.895 0.054 Ba
0.648 0.979 0.118 Mo
0.852 0.479 0.382 Mo
0.852 0.021 0.618 Mo
0.648 0.521 0.882 Mo
0.352 0.021 0.882 Mo
0.148 0.521 0.618 Mo
0.148 0.979 0.382 Mo
0.352 0.479 0.118 Mo
0.661 0.820 0.251 Mo
0.839 0.320 0.249 Mo
0.839 0.180 0.751 Mo
0.661 0.680 0.749 Mo
0.339 0.180 0.749 Mo
0.161 0.680 0.751 Mo
0.161 0.820 0.249 Mo
0.339 0.320 0.251 Mo
0.350 0.113 0.245 Mo
0.150 0.613 0.255 Mo
0.150 0.887 0.745 Mo
0.350 0.387 0.755 Mo
0.650 0.887 0.755 Mo
0.850 0.387 0.745 Mo
0.850 0.113 0.255 Mo
0.650 0.613 0.245 Mo
0.521 0.177 0.106 Mo
0.979 0.677 0.394 Mo
0.979 0.823 0.606 Mo
0.521 0.323 0.894 Mo
0.479 0.823 0.894 Mo
0.021 0.323 0.606 Mo
0.021 0.177 0.394 Mo
0.479 0.677 0.106 Mo
0.681 0.090 0.078 O
0.819 0.590 0.422 O
0.819 0.910 0.578 O
0.681 0.410 0.922 O
0.319 0.910 0.922 O
0.181 0.410 0.578 O
0.181 0.090 0.422 O
0.319 0.590 0.078 O
0.827 0.935 0.079 O
0.673 0.435 0.421 O
0.673 0.065 0.579 O
0.827 0.565 0.921 O
0.173 0.065 0.921 O
0.327 0.565 0.579 O
0.327 0.935 0.421 O
0.173 0.435 0.079 O
0.477 0.949 0.068 O
0.023 0.449 0.432 O
0.023 0.051 0.568 O
0.477 0.551 0.932 O
0.523 0.051 0.932 O
0.977 0.551 0.568 O
0.977 0.949 0.432 O
0.523 0.449 0.068 O
0.824 0.034 0.195 O
0.676 0.534 0.305 O
0.676 0.966 0.695 O
0.824 0.466 0.805 O
0.176 0.966 0.805 O
0.324 0.466 0.695 O
0.324 0.034 0.305 O
0.176 0.534 0.195 O
0.468 0.069 0.170 O
0.032 0.569 0.330 O
0.032 0.931 0.670 O
0.468 0.431 0.830 O
0.532 0.931 0.830 O
0.968 0.431 0.670 O
0.968 0.069 0.330 O
0.532 0.569 0.170 O
0.600 0.900 0.187 O
0.900 0.400 0.313 O
0.900 0.100 0.687 O
0.600 0.600 0.813 O
0.400 0.100 0.813 O
0.100 0.600 0.687 O
0.100 0.900 0.313 O
0.400 0.400 0.187 O
0.664 0.710 0.299 O
0.836 0.210 0.201 O
0.836 0.290 0.799 O
0.664 0.790 0.701 O
0.336 0.290 0.701 O
0.164 0.790 0.799 O
0.164 0.710 0.201 O
0.336 0.210 0.299 O
0.669 0.883 0.321 O
0.831 0.383 0.179 O
0.831 0.117 0.821 O
0.669 0.617 0.679 O
0.331 0.117 0.679 O
0.169 0.617 0.821 O
0.169 0.883 0.179 O
0.331 0.383 0.321 O
0.421 0.224 0.183 O
0.079 0.724 0.317 O
0.079 0.776 0.683 O
0.421 0.276 0.817 O
0.579 0.776 0.817 O
0.921 0.276 0.683 O
0.921 0.224 0.317 O
0.579 0.724 0.183 O
0.881 0.813 0.230 O
0.619 0.313 0.270 O
0.619 0.187 0.730 O
0.881 0.687 0.770 O
0.119 0.187 0.770 O
0.381 0.687 0.730 O
0.381 0.813 0.270 O
0.119 0.313 0.230 O
0.136 0.117 0.217 O
0.364 0.617 0.283 O
0.364 0.883 0.717 O
0.136 0.383 0.783 O
0.864 0.883 0.783 O
0.636 0.383 0.717 O
0.636 0.117 0.283 O
0.864 0.617 0.217 O
0.651 0.259 0.076 O
0.849 0.759 0.424 O
0.849 0.741 0.576 O
0.651 0.241 0.924 O
0.349 0.741 0.924 O
0.151 0.241 0.576 O
0.151 0.259 0.424 O
0.349 0.759 0.076 O
0.357 0.171 0.051 O
0.143 0.671 0.449 O
0.143 0.829 0.551 O
0.357 0.329 0.949 O
0.643 0.829 0.949 O
0.857 0.329 0.551 O
0.857 0.171 0.449 O
0.643 0.671 0.051 O
0.042 0.384 0.924 O
0.458 0.884 0.576 O
0.458 0.616 0.424 O
0.042 0.116 0.076 O
0.958 0.616 0.076 O
0.542 0.116 0.424 O
0.542 0.384 0.576 O
0.958 0.884 0.924 O
0.011 0.189 0.060 O
0.489 0.689 0.440 O
0.489 0.811 0.560 O
0.011 0.311 0.940 O
0.989 0.811 0.940 O
0.511 0.311 0.560 O
0.511 0.189 0.440 O
0.989 0.689 0.060 O

=====

Copy entry 2 word for word.
KMnF3 GGA+U optimized geometry; symmetry = P2_1/m; E_tot = -5.61 eV per atom
1.0
8.540 0.000 0.000
0.000 6.012 0.000
0.000 0.003 6.045
K Mn F
4 4 12
direct
0.250 0.996 0.504 K
0.750 0.004 0.496 K
0.250 0.497 0.008 K
0.750 0.503 0.992 K
0.000 0.000 0.000 Mn
0.500 0.000 0.000 Mn
0.000 0.500 0.500 Mn
0.500 0.500 0.500 Mn
0.250 0.003 0.989 F
0.750 0.997 0.011 F
0.250 0.499 0.503 F
0.750 0.501 0.497 F
0.007 0.736 0.236 F
0.993 0.264 0.764 F
0.507 0.264 0.764 F
0.493 0.736 0.236 F
0.003 0.235 0.264 F
0.997 0.765 0.736 F
0.503 0.765 0.736 F
0.497 0.235 0.264 F